! Li2Fe2Si3O9 GGA+U optimized geometry; values from VASP
&SYSTEM
  ibrav = 0, nat = 64, ntyp = 4
/
ATOMIC_SPECIES
O 16.00 O.upf
Fe 55.84 Fe.upf
Si 28.09 Si.upf
Li 6.94 Li.upf
CELL_PARAMETERS angstrom
-5.653 -2.966 3.065
5.189 -1.035 8.569
-3.993 11.554 3.814
ATOMIC_POSITIONS crystal
O 0.491 0.890 0.730
O 0.083 0.750 0.399
O 0.009 0.890 0.230
O 0.491 0.610 0.730
O 0.391 0.614 0.080
O 0.583 0.250 0.101
O 0.891 0.386 0.420
O 0.005 0.115 0.051
O 0.891 0.114 0.420
O 0.995 0.615 0.949
O 0.204 0.250 0.469
O 0.495 0.115 0.551
O 0.796 0.750 0.531
O 0.009 0.610 0.230
O 0.417 0.750 0.899
O 0.704 0.750 0.031
O 0.917 0.250 0.601
O 0.505 0.885 0.449
O 0.766 0.750 0.822
O 0.991 0.110 0.770
O 0.509 0.390 0.270
O 0.509 0.110 0.270
O 0.505 0.615 0.449
O 0.005 0.385 0.051
O 0.391 0.886 0.080
O 0.266 0.250 0.678
O 0.609 0.114 0.920
O 0.734 0.750 0.322
O 0.234 0.250 0.178
O 0.109 0.886 0.580
O 0.495 0.385 0.551
O 0.995 0.885 0.949
O 0.609 0.386 0.920
O 0.109 0.614 0.580
O 0.991 0.390 0.770
O 0.296 0.250 0.969
Fe 0.882 0.067 0.909
Fe 0.382 0.567 0.591
Fe 0.118 0.933 0.091
Fe 0.382 0.933 0.591
Fe 0.618 0.067 0.409
Fe 0.882 0.433 0.909
Fe 0.118 0.567 0.091
Fe 0.618 0.433 0.409
Si 0.371 0.250 0.562
Si 0.469 0.750 0.026
Si 0.871 0.750 0.938
Si 0.539 0.750 0.788
Si 0.031 0.750 0.526
Si 0.461 0.250 0.212
Si 0.129 0.250 0.062
Si 0.629 0.750 0.438
Si 0.969 0.250 0.474
Si 0.961 0.750 0.288
Si 0.039 0.250 0.712
Si 0.531 0.250 0.974
Li 0.431 0.488 0.842
Li 0.569 0.512 0.158
Li 0.931 0.988 0.658
Li 0.431 0.012 0.842
Li 0.069 0.012 0.342
Li 0.931 0.512 0.658
Li 0.569 0.988 0.158
Li 0.069 0.488 0.342
! energy relative to the lowest polymorph listed for this composition: 0.589 eV per atom
! calculated formation energy: -2062 meV per atom

---

! LiCr2P3O12 GGA+U optimized geometry; values from VASP
&SYSTEM
  ibrav = 0, nat = 72, ntyp = 4
/
ATOMIC_SPECIES
O 16.00 O.upf
Cr 52.00 Cr.upf
P 30.97 P.upf
Li 6.94 Li.upf
CELL_PARAMETERS angstrom
8.653 0.000 0.000
0.000 8.314 0.000
0.000 8.326 11.805
ATOMIC_POSITIONS crystal
O 0.625 0.494 0.945
O 0.674 0.327 0.603
O 0.375 0.506 0.055
O 0.176 0.387 0.432
O 0.326 0.673 0.397
O 0.612 0.042 0.391
O 0.824 0.613 0.568
O 0.429 0.884 0.976
O 0.492 0.380 0.260
O 0.174 0.673 0.897
O 0.135 0.326 0.082
O 0.705 0.957 0.661
O 0.635 0.674 0.418
O 0.125 0.506 0.555
O 0.571 0.116 0.024
O 0.865 0.674 0.918
O 0.054 0.734 0.044
O 0.324 0.387 0.932
O 0.888 0.042 0.891
O 0.795 0.957 0.161
O 0.676 0.613 0.068
O 0.027 0.004 0.273
O 0.826 0.327 0.103
O 0.205 0.043 0.839
O 0.112 0.958 0.109
O 0.388 0.958 0.609
O 0.973 0.996 0.727
O 0.579 0.754 0.176
O 0.875 0.494 0.445
O 0.921 0.754 0.676
O 0.527 0.996 0.227
O 0.295 0.043 0.339
O 0.730 0.354 0.818
O 0.473 0.004 0.773
O 0.554 0.266 0.456
O 0.421 0.246 0.824
O 0.992 0.620 0.240
O 0.446 0.734 0.544
O 0.365 0.326 0.582
O 0.929 0.116 0.524
O 0.946 0.266 0.956
O 0.508 0.620 0.740
O 0.079 0.246 0.324
O 0.071 0.884 0.476
O 0.230 0.646 0.682
O 0.270 0.646 0.182
O 0.770 0.354 0.318
O 0.008 0.380 0.760
Cr 0.472 0.862 0.384
Cr 0.964 0.365 0.386
Cr 0.028 0.862 0.884
Cr 0.036 0.635 0.614
Cr 0.464 0.635 0.114
Cr 0.528 0.138 0.616
Cr 0.536 0.365 0.886
Cr 0.972 0.138 0.116
P 0.609 0.254 0.358
P 0.252 0.474 0.491
P 0.109 0.746 0.142
P 0.882 0.961 0.647
P 0.391 0.746 0.642
P 0.618 0.961 0.147
P 0.248 0.474 0.991
P 0.748 0.526 0.509
P 0.118 0.039 0.353
P 0.382 0.039 0.853
P 0.891 0.254 0.858
P 0.752 0.526 0.009
Li 0.784 0.638 0.181
Li 0.216 0.362 0.819
Li 0.716 0.638 0.681
Li 0.284 0.362 0.319
! energy relative to the lowest polymorph listed for this composition: 0.010 eV per atom
! calculated formation energy: -2457 meV per atom

---

! K3W2O4F6 GGA+U optimized geometry; values from VASP
&SYSTEM
  ibrav = 0, nat = 30, ntyp = 4
/
ATOMIC_SPECIES
O 16.00 O.upf
W 183.84 W.upf
K 39.10 K.upf
F 19.00 F.upf
CELL_PARAMETERS angstrom
2.840 -6.699 4.247
7.185 4.142 1.485
0.330 2.009 8.406
ATOMIC_POSITIONS crystal
O 0.546 0.167 0.182
O 0.167 0.546 0.682
O 0.065 0.657 0.377
O 0.935 0.343 0.623
O 0.657 0.065 0.877
O 0.833 0.454 0.318
O 0.454 0.833 0.818
O 0.343 0.935 0.123
W 0.022 0.431 0.367
W 0.431 0.022 0.867
W 0.569 0.978 0.133
W 0.978 0.569 0.633
K 0.742 0.952 0.499
K 0.048 0.258 0.001
K 0.500 0.500 0.000
K 0.500 0.500 0.500
K 0.258 0.048 0.501
K 0.952 0.742 0.999
F 0.027 0.194 0.354
F 0.387 0.261 0.875
F 0.806 0.973 0.146
F 0.261 0.387 0.375
F 0.973 0.806 0.646
F 0.842 0.498 0.890
F 0.498 0.842 0.390
F 0.739 0.613 0.625
F 0.502 0.158 0.610
F 0.158 0.502 0.110
F 0.613 0.739 0.125
F 0.194 0.027 0.854
! calculated formation energy: -2677 meV per atom

---

! Li2Si2Ni2O7 GGA+U optimized geometry; values from VASP
&SYSTEM
  ibrav = 0, nat = 26, ntyp = 4
/
ATOMIC_SPECIES
Li 6.94 Li.upf
Si 28.09 Si.upf
O 16.00 O.upf
Ni 58.69 Ni.upf
CELL_PARAMETERS angstrom
-1.746 -4.581 1.308
4.738 1.095 0.320
-1.789 4.169 12.211
ATOMIC_POSITIONS crystal
Li 0.747 0.404 0.414
Li 0.342 0.596 0.586
Li 0.342 0.596 0.914
Li 0.747 0.404 0.086
Si 0.695 0.296 0.636
Si 0.695 0.296 0.864
Si 0.399 0.704 0.364
Si 0.399 0.704 0.136
O 0.363 0.448 0.449
O 0.331 0.187 0.635
O 0.363 0.448 0.051
O 0.848 0.485 0.750
O 0.751 0.020 0.130
O 0.751 0.020 0.370
O 0.363 0.515 0.250
O 0.143 0.813 0.365
O 0.915 0.552 0.551
O 0.915 0.552 0.949
O 0.731 0.980 0.630
O 0.143 0.813 0.135
O 0.331 0.187 0.865
O 0.731 0.980 0.870
Ni 0.036 0.000 0.500
Ni 0.036 0.000 0.000
Ni 0.012 0.990 0.750
Ni 0.022 0.010 0.250
! energy relative to the lowest polymorph listed for this composition: 0.006 eV per atom
! calculated formation energy: -2392 meV per atom